Record 1
This record from the Materials Project describes a geometry-optimized Mg3Si4 structure. The functional is GGA-PBE.

Computed properties:
**Formation enthalpy at 0 K**: 0.166 eV/atom
**M_tot**: 0.00 μB/cell
**Distance to the lowest polymorph of the same formula**: 0.072 eV per atom
**Corrected total energy (MP2020 scheme)**: -0.13305 hartree per atom

```
data_Mg3Si4
_chemical_formula_sum 'Mg6 Si8'
_cell_length_a 4.1336
_cell_length_b 7.7916
_cell_length_c 8.5373
_cell_angle_alpha 74.55
_cell_angle_beta 77.65
_cell_angle_gamma 89.39
_space_group_name_H-M_alt 'P 1'
_space_group_IT_number 1
_space_group_name_Hall 'P 1'
loop_
_atom_site_label
_atom_site_type_symbol
_atom_site_fract_x
_atom_site_fract_y
_atom_site_fract_z
Mg1 Mg 0.0000 0.0000 0.0000
Mg2 Mg 0.0541 0.4283 0.8721
Mg3 Mg 0.3739 0.8083 0.2809
Mg4 Mg 0.5700 0.7754 0.8635
Mg5 Mg 0.7899 0.5287 0.5284
Mg6 Mg 0.8879 0.2166 0.2992
Si1 Si 0.0650 0.0672 0.6506
Si2 Si 0.2102 0.7553 0.6333
Si3 Si 0.3324 0.3414 0.4604
Si4 Si 0.4371 0.4625 0.1406
Si5 Si 0.4732 0.1820 0.0689
Si6 Si 0.5532 0.2024 0.7662
Si7 Si 0.7668 0.8879 0.4938
Si8 Si 0.9410 0.6403 0.1263
```

---

Record 2
This record from the Materials Project describes a geometry-optimized Mg4Si3 structure. The functional is GGA-PBE.

Computed properties:
**Formation enthalpy at 0 K**: 0.098 eV/atom
**M_tot**: 0.00 μB/cell
**Distance to the lowest polymorph of the same formula**: 0.095 eV per atom
**Corrected total energy (MP2020 scheme)**: -0.11543 hartree per atom

```
data_Mg4Si3
_chemical_formula_sum 'Mg16 Si12'
_cell_length_a 6.6965
_cell_length_b 7.2029
_cell_length_c 11.7070
_cell_angle_alpha 87.25
_cell_angle_beta 89.57
_cell_angle_gamma 74.24
_space_group_name_H-M_alt 'P 1'
_space_group_IT_number 1
_space_group_name_Hall 'P 1'
loop_
_atom_site_label
_atom_site_type_symbol
_atom_site_fract_x
_atom_site_fract_y
_atom_site_fract_z
Mg1 Mg 0.0000 0.0000 0.0000
Mg2 Mg 0.0030 0.1879 0.3905
Mg3 Mg 0.0572 0.3677 0.1311
Mg4 Mg 0.1912 0.5439 0.3547
Mg5 Mg 0.2470 0.7933 0.5429
Mg6 Mg 0.3453 0.1917 0.5498
Mg7 Mg 0.4080 0.7100 0.8928
Mg8 Mg 0.4767 0.9733 0.0938
Mg9 Mg 0.5451 0.3795 0.0596
Mg10 Mg 0.6146 0.0724 0.8507
Mg11 Mg 0.6559 0.5528 0.2799
Mg12 Mg 0.7185 0.8963 0.4157
Mg13 Mg 0.8462 0.1182 0.6268
Mg14 Mg 0.8553 0.3834 0.8526
Mg15 Mg 0.9353 0.5309 0.5705
Mg16 Mg 0.9774 0.7572 0.7872
Si1 Si 0.2067 0.0331 0.7671
Si2 Si 0.2488 0.4124 0.7417
Si3 Si 0.2514 0.2516 0.9307
Si4 Si 0.2650 0.7117 0.1404
Si5 Si 0.3395 0.8824 0.3162
Si6 Si 0.4117 0.1930 0.2805
Si7 Si 0.5630 0.5193 0.6841
Si8 Si 0.5784 0.8635 0.6656
Si9 Si 0.6002 0.4091 0.4892
Si10 Si 0.7827 0.1285 0.2146
Si11 Si 0.7826 0.6978 0.9917
Si12 Si 0.8977 0.7687 0.1821
```

---

Record 3
This record from the Materials Project describes a geometry-optimized Mg5Si6 structure. The functional is GGA-PBE.

Computed properties:
**Formation enthalpy at 0 K**: 0.124 eV/atom
**M_tot**: 0.00 μB/cell
**Distance to the lowest polymorph of the same formula**: 0.059 eV per atom
**Corrected total energy (MP2020 scheme)**: -0.13091 hartree per atom

```
data_Mg5Si6
_chemical_formula_sum 'Mg10 Si12'
_cell_length_a 4.3543
_cell_length_b 7.3756
_cell_length_c 12.7995
_cell_angle_alpha 97.19
_cell_angle_beta 91.23
_cell_angle_gamma 92.17
_space_group_name_H-M_alt 'P 1'
_space_group_IT_number 1
_space_group_name_Hall 'P 1'
loop_
_atom_site_label
_atom_site_type_symbol
_atom_site_fract_x
_atom_site_fract_y
_atom_site_fract_z
Mg1 Mg 0.0000 0.0000 0.0000
Mg2 Mg 0.0016 0.3829 0.8912
Mg3 Mg 0.0038 0.0069 0.7229
Mg4 Mg 0.0167 0.8028 0.2211
Mg5 Mg 0.0271 0.9879 0.4681
Mg6 Mg 0.0791 0.2378 0.2512
Mg7 Mg 0.4867 0.7207 0.5871
Mg8 Mg 0.4919 0.6638 0.0300
Mg9 Mg 0.9670 0.5497 0.4137
Mg10 Mg 0.9820 0.3836 0.6141
Si1 Si 0.2714 0.7683 0.8413
Si2 Si 0.4570 0.3147 0.7506
Si3 Si 0.4610 0.3125 0.4561
Si4 Si 0.4846 0.7644 0.3764
Si5 Si 0.4979 0.2801 0.0469
Si6 Si 0.5013 0.0110 0.1378
Si7 Si 0.5233 0.5192 0.2320
Si8 Si 0.5273 0.0963 0.8747
Si9 Si 0.5297 0.1047 0.5955
Si10 Si 0.5867 0.0593 0.3256
Si11 Si 0.7330 0.6292 0.7721
Si12 Si 0.9911 0.4604 0.1050
```

---

Record 4
This record from the Materials Project describes a geometry-optimized Mg3Si4 structure. The functional is GGA-PBE.

Computed properties:
**Formation enthalpy at 0 K**: 0.195 eV/atom
**M_tot**: 0.01 μB/cell
**Distance to the lowest polymorph of the same formula**: 0.101 eV per atom
**Corrected total energy (MP2020 scheme)**: -0.13197 hartree per atom

```
data_Mg3Si4
_chemical_formula_sum 'Mg6 Si8'
_cell_length_a 4.4092
_cell_length_b 8.1237
_cell_length_c 8.2420
_cell_angle_alpha 111.23
_cell_angle_beta 96.76
_cell_angle_gamma 101.08
_space_group_name_H-M_alt 'P 1'
_space_group_IT_number 1
_space_group_name_Hall 'P 1'
loop_
_atom_site_label
_atom_site_type_symbol
_atom_site_fract_x
_atom_site_fract_y
_atom_site_fract_z
Mg1 Mg 0.0000 0.0000 0.0000
Mg2 Mg 0.0158 0.3030 0.7693
Mg3 Mg 0.2206 0.0180 0.4661
Mg4 Mg 0.3055 0.7064 0.7498
Mg5 Mg 0.4889 0.8015 0.1557
Mg6 Mg 0.6411 0.4097 0.1071
Si1 Si 0.1551 0.3138 0.2992
Si2 Si 0.2433 0.6378 0.3630
Si3 Si 0.4650 0.0770 0.8236
Si4 Si 0.5269 0.4010 0.6126
Si5 Si 0.6292 0.1858 0.3171
Si6 Si 0.7526 0.9216 0.6224
Si7 Si 0.7562 0.6077 0.4830
Si8 Si 0.8428 0.6300 0.9353
```

---

Record 5
This record from the Materials Project describes a geometry-optimized Mg4Si3 structure. The functional is GGA-PBE.

Computed properties:
**Formation enthalpy at 0 K**: 0.105 eV/atom
**M_tot**: 0.00 μB/cell
**Distance to the lowest polymorph of the same formula**: 0.101 eV per atom
**Corrected total energy (MP2020 scheme)**: -0.11520 hartree per atom

```
data_Mg4Si3
_chemical_formula_sum 'Mg16 Si12'
_cell_length_a 6.3665
_cell_length_b 7.0839
_cell_length_c 12.4136
_cell_angle_alpha 87.76
_cell_angle_beta 88.21
_cell_angle_gamma 78.83
_space_group_name_H-M_alt 'P 1'
_space_group_IT_number 1
_space_group_name_Hall 'P 1'
loop_
_atom_site_label
_atom_site_type_symbol
_atom_site_fract_x
_atom_site_fract_y
_atom_site_fract_z
Mg1 Mg 0.0000 0.0000 0.0000
Mg2 Mg 0.0044 0.8777 0.5605
Mg3 Mg 0.1938 0.9287 0.7752
Mg4 Mg 0.2739 0.5131 0.6998
Mg5 Mg 0.2826 0.5654 0.0310
Mg6 Mg 0.3270 0.8830 0.1918
Mg7 Mg 0.4389 0.3298 0.2631
Mg8 Mg 0.4896 0.9599 0.9661
Mg9 Mg 0.5257 0.4020 0.5006
Mg10 Mg 0.5742 0.8840 0.4657
Mg11 Mg 0.6206 0.0190 0.7136
Mg12 Mg 0.7484 0.6075 0.0734
Mg13 Mg 0.7698 0.9462 0.2220
Mg14 Mg 0.8974 0.3070 0.7142
Mg15 Mg 0.9836 0.4649 0.4660
Mg16 Mg 0.9909 0.2674 0.1994
Si1 Si 0.0660 0.6157 0.2336
Si2 Si 0.1685 0.3081 0.8850
Si3 Si 0.1992 0.0861 0.3916
Si4 Si 0.2529 0.6955 0.3874
Si5 Si 0.2630 0.1595 0.5851
Si6 Si 0.5559 0.3143 0.8747
Si7 Si 0.6051 0.6552 0.8279
Si8 Si 0.6453 0.2491 0.0672
Si9 Si 0.6578 0.6207 0.3045
Si10 Si 0.6835 0.6384 0.6315
Si11 Si 0.8141 0.1445 0.3965
Si12 Si 0.9681 0.6763 0.8773
```

---

Record 6
This record from the Materials Project describes a geometry-optimized Mg3Si4 structure. The functional is GGA-PBE.

Computed properties:
**Formation enthalpy at 0 K**: 0.132 eV/atom
**M_tot**: 0.05 μB/cell
**Distance to the lowest polymorph of the same formula**: 0.038 eV per atom
**Corrected total energy (MP2020 scheme)**: -0.13429 hartree per atom

```
data_Mg3Si4
_chemical_formula_sum 'Mg6 Si8'
_cell_length_a 8.1238
_cell_length_b 4.0712
_cell_length_c 8.4013
_cell_angle_alpha 90.00
_cell_angle_beta 113.67
_cell_angle_gamma 90.00
_space_group_name_H-M_alt 'P 1 m 1'
_space_group_IT_number 6
_space_group_name_Hall 'P -2y'
loop_
_atom_site_label
_atom_site_type_symbol
_atom_site_fract_x
_atom_site_fract_y
_atom_site_fract_z
Mg1 Mg 0.0000 0.0000 0.0000
Mg2 Mg 0.0225 0.0000 0.6198
Mg3 Mg 0.3396 0.5000 0.6364
Mg4 Mg 0.3677 0.5000 0.2368
Mg5 Mg 0.6609 0.5000 0.0282
Mg6 Mg 0.7714 0.5000 0.6966
Si1 Si 0.0172 0.5000 0.2497
Si2 Si 0.1770 0.5000 0.8775
Si3 Si 0.1810 0.0000 0.3802
Si4 Si 0.3831 0.0000 0.9695
Si5 Si 0.5037 0.0000 0.4868
Si6 Si 0.6040 0.0000 0.8063
Si7 Si 0.6303 0.0000 0.2665
Si8 Si 0.8057 0.5000 0.3829
```

---

Record 7
This record from the Materials Project describes a geometry-optimized Mg3Si4 structure. The functional is GGA-PBE.

Computed properties:
**Formation enthalpy at 0 K**: 0.147 eV/atom
**M_tot**: 0.00 μB/cell
**Distance to the lowest polymorph of the same formula**: 0.054 eV per atom
**Corrected total energy (MP2020 scheme)**: -0.13372 hartree per atom

```
data_Mg3Si4
_chemical_formula_sum 'Mg6 Si8'
_cell_length_a 5.0445
_cell_length_b 7.3533
_cell_length_c 7.9166
_cell_angle_alpha 74.22
_cell_angle_beta 71.62
_cell_angle_gamma 83.73
_space_group_name_H-M_alt 'P 1'
_space_group_IT_number 1
_space_group_name_Hall 'P 1'
loop_
_atom_site_label
_atom_site_type_symbol
_atom_site_fract_x
_atom_site_fract_y
_atom_site_fract_z
Mg1 Mg 0.0000 0.0000 0.0000
Mg2 Mg 0.0818 0.3011 0.4985
Mg3 Mg 0.2059 0.4044 0.0222
Mg4 Mg 0.3879 0.9606 0.2766
Mg5 Mg 0.6218 0.7400 0.9334
Mg6 Mg 0.8481 0.7137 0.5439
Si1 Si 0.2466 0.7297 0.7368
Si2 Si 0.3935 0.5861 0.4773
Si3 Si 0.4641 0.0372 0.6309
Si4 Si 0.5322 0.1215 0.8851
Si5 Si 0.6213 0.3767 0.1902
Si6 Si 0.7995 0.3845 0.8474
Si7 Si 0.8238 0.6465 0.2256
Si8 Si 0.8373 0.1000 0.3467
```

---

Record 8
This record from the Materials Project describes a geometry-optimized Mg3Si4 structure. The functional is GGA-PBE.

Computed properties:
**Formation enthalpy at 0 K**: 0.109 eV/atom
**M_tot**: 0.00 μB/cell
**Distance to the lowest polymorph of the same formula**: 0.016 eV per atom
**Corrected total energy (MP2020 scheme)**: -0.13512 hartree per atom

```
data_Mg3Si4
_chemical_formula_sum 'Mg6 Si8'
_cell_length_a 5.3998
_cell_length_b 7.0597
_cell_length_c 7.7620
_cell_angle_alpha 113.38
_cell_angle_beta 90.64
_cell_angle_gamma 102.44
_space_group_name_H-M_alt 'P 1'
_space_group_IT_number 1
_space_group_name_Hall 'P 1'
loop_
_atom_site_label
_atom_site_type_symbol
_atom_site_fract_x
_atom_site_fract_y
_atom_site_fract_z
Mg1 Mg 0.0000 0.0000 0.0000
Mg2 Mg 0.0191 0.9067 0.4963
Mg3 Mg 0.1275 0.4813 0.2150
Mg4 Mg 0.3489 0.2909 0.4689
Mg5 Mg 0.6377 0.6060 0.0496
Mg6 Mg 0.6682 0.1761 0.7447
Si1 Si 0.0698 0.5949 0.8655
Si2 Si 0.1953 0.2769 0.8221
Si3 Si 0.4681 0.8567 0.9018
Si4 Si 0.4872 0.8765 0.3614
Si5 Si 0.5366 0.7170 0.5790
Si6 Si 0.5619 0.2278 0.1231
Si7 Si 0.8214 0.1782 0.3589
Si8 Si 0.8901 0.5465 0.5625
```

---

no.,E (eV per atom)
1,-3.6610
2,-3.1716
3,-3.6011
4,-3.6317
5,-3.1652
6,-3.6949
7,-3.6794
8,-3.7173